# 1
The following is a PBE calculation of ZnN2F4 after structural relaxation, from the Materials Project database.

Computed properties:
For the formation energy, the calculation gives -0.451 eV per atom.

Cell and atoms, written as CIF:
```
data_ZnN2F4
_cell_length_a 7.514
_cell_length_b 7.514
_cell_length_c 7.514
_cell_angle_alpha 149.58
_cell_angle_beta 149.58
_cell_angle_gamma 43.55
_symmetry_space_group_name_H-M 'P 1'
_symmetry_Int_Tables_number 1
loop_
_symmetry_equiv_pos_as_xyz
'x,y,z'
loop_
_atom_site_label
_atom_site_fract_x
_atom_site_fract_y
_atom_site_fract_z
Zn1 0.000 0.000 0.000
N1 0.327 0.327 0.000
N2 0.673 0.673 0.000
F1 0.230 0.230 0.000
F2 0.770 0.770 0.000
F3 0.500 0.000 0.500
F4 0.000 0.500 0.500
```

# 2
The following is a PBE calculation of Nd2MgNi2 after structural relaxation, from the Materials Project database.

Computed properties:
For the formation energy, the calculation gives -0.300 eV per atom.

Cell and atoms, written as CIF:
```
data_Nd2MgNi2
_cell_length_a 7.507
_cell_length_b 7.507
_cell_length_c 3.869
_cell_angle_alpha 90.00
_cell_angle_beta 90.00
_cell_angle_gamma 90.00
_symmetry_space_group_name_H-M 'P 1'
_symmetry_Int_Tables_number 1
loop_
_symmetry_equiv_pos_as_xyz
'x,y,z'
loop_
_atom_site_label
_atom_site_fract_x
_atom_site_fract_y
_atom_site_fract_z
Nd1 0.326 0.826 0.500
Nd2 0.826 0.674 0.500
Nd3 0.174 0.326 0.500
Nd4 0.674 0.174 0.500
Mg1 0.500 0.500 0.000
Mg2 0.000 0.000 0.000
Ni1 0.119 0.619 0.000
Ni2 0.619 0.881 0.000
Ni3 0.881 0.381 0.000
Ni4 0.381 0.119 0.000
```

# 3
The following is a PBE calculation of ScC after structural relaxation, from the Materials Project database.

Computed properties:
For the formation energy, the calculation gives 0.133 eV per atom.

Cell and atoms, written as CIF:
```
data_ScC
_cell_length_a 3.959
_cell_length_b 3.959
_cell_length_c 4.578
_cell_angle_alpha 90.00
_cell_angle_beta 90.00
_cell_angle_gamma 120.00
_symmetry_space_group_name_H-M 'P 1'
_symmetry_Int_Tables_number 1
loop_
_symmetry_equiv_pos_as_xyz
'x,y,z'
loop_
_atom_site_label
_atom_site_fract_x
_atom_site_fract_y
_atom_site_fract_z
Sc1 0.667 0.333 0.250
Sc2 0.333 0.667 0.750
C1 0.667 0.333 0.750
C2 0.333 0.667 0.250
```